[1]
A plane-wave DFT calculation with r²SCAN was carried out for a relaxed structure of TiAsRh.

Results
DFT formation energy: -0.95 eV per atom
total moment: 0.000 μB per formula unit
space group: Pnma (62)

POSCAR file:
```
TiAsRh
1.0
6.370 0.000 0.000
0.000 3.815 0.000
0.000 0.000 7.397
Ti As Rh
4 4 4
Direct
0.032 0.250 0.182
0.468 0.750 0.682
0.532 0.250 0.318
0.968 0.750 0.818
0.249 0.250 0.878
0.251 0.750 0.378
0.749 0.250 0.622
0.751 0.750 0.122
0.143 0.250 0.564
0.357 0.750 0.064
0.643 0.250 0.936
0.857 0.750 0.436
```

[2]
A plane-wave DFT calculation with r²SCAN was carried out for a relaxed structure of LaTeCl.

Results
DFT formation energy: -2.27 eV per atom
total moment: 0.000 μB per formula unit
space group: P4/nmm (129)
relative energy among the computed polymorphs: 2.6 meV/atom

POSCAR file:
```
LaTeCl
1.0
4.555 0.000 0.000
0.000 4.555 0.000
0.000 0.000 8.320
La Te Cl
2 2 2
Direct
0.250 0.250 0.241
0.750 0.750 0.759
0.250 0.250 0.638
0.750 0.750 0.362
0.250 0.750 0.000
0.750 0.250 0.000
```

[3]
A plane-wave DFT calculation with r²SCAN was carried out for a relaxed structure of PuPbAu2.

Results
DFT formation energy: -0.50 eV per atom
total moment: 5.540 μB per formula unit
space group: Fm-3m (225)

POSCAR file:
```
PuPbAu2
1.0
7.195 0.000 0.000
0.000 7.195 0.000
0.000 0.000 7.195
Pu Pb Au
4 4 8
Direct
0.000 0.000 0.000
0.000 0.500 0.500
0.500 0.000 0.500
0.500 0.500 0.000
0.000 0.000 0.500
0.000 0.500 0.000
0.500 0.000 0.000
0.500 0.500 0.500
0.250 0.250 0.250
0.250 0.250 0.750
0.250 0.750 0.250
0.250 0.750 0.750
0.750 0.250 0.250
0.750 0.250 0.750
0.750 0.750 0.250
0.750 0.750 0.750
```

[4]
A plane-wave DFT calculation with r²SCAN was carried out for a relaxed structure of WCl3.

Results
DFT formation energy: -0.87 eV per atom
total moment: 0.000 μB per formula unit
space group: R-3 (148)

POSCAR file:
```
WCl3
1.0
7.578 4.375 2.958
-7.578 4.375 2.958
0.000 -8.750 2.958
W Cl
6 18
Direct
0.026 0.151 0.238
0.151 0.238 0.026
0.238 0.026 0.151
0.762 0.974 0.849
0.849 0.762 0.974
0.974 0.849 0.762
0.040 0.317 0.514
0.102 0.754 0.148
0.148 0.102 0.754
0.202 0.453 0.306
0.246 0.852 0.898
0.306 0.202 0.453
0.317 0.514 0.040
0.453 0.306 0.202
0.486 0.960 0.683
0.514 0.040 0.317
0.547 0.694 0.798
0.683 0.486 0.960
0.694 0.798 0.547
0.754 0.148 0.102
0.798 0.547 0.694
0.852 0.898 0.246
0.898 0.246 0.852
0.960 0.683 0.486
```

[5]
A plane-wave DFT calculation with r²SCAN was carried out for a relaxed structure of PuCdHg2.

Results
DFT formation energy: -0.28 eV per atom
total moment: 5.618 μB per formula unit
space group: Fm-3m (225)

POSCAR file:
```
PuCdHg2
1.0
7.271 0.000 0.000
0.000 7.271 0.000
0.000 0.000 7.271
Pu Cd Hg
4 4 8
Direct
0.000 0.000 0.000
0.000 0.500 0.500
0.500 0.000 0.500
0.500 0.500 0.000
0.000 0.000 0.500
0.000 0.500 0.000
0.500 0.000 0.000
0.500 0.500 0.500
0.250 0.250 0.250
0.250 0.250 0.750
0.250 0.750 0.250
0.250 0.750 0.750
0.750 0.250 0.250
0.750 0.250 0.750
0.750 0.750 0.250
0.750 0.750 0.750
```

[6]
A plane-wave DFT calculation with r²SCAN was carried out for a relaxed structure of Dy2InPd2.

Results
DFT formation energy: -0.95 eV per atom
total moment: 0.000 μB per formula unit
space group: P4/mbm (127)

POSCAR file:
```
Dy2InPd2
1.0
7.740 0.000 0.000
0.000 7.740 0.000
0.000 0.000 3.635
Dy In Pd
4 2 4
Direct
0.173 0.327 0.000
0.327 0.827 0.000
0.673 0.173 0.000
0.827 0.673 0.000
0.000 0.000 0.500
0.500 0.500 0.500
0.128 0.628 0.500
0.372 0.128 0.500
0.628 0.872 0.500
0.872 0.372 0.500
```

[7]
A plane-wave DFT calculation with r²SCAN was carried out for a relaxed structure of Mg15Zn.

Results
DFT formation energy: 0.01 eV per atom
total moment: 0.000 μB per formula unit
space group: P-6m2 (187)

POSCAR file:
```
Mg15Zn
1.0
6.306 0.000 0.000
-3.153 5.461 0.000
0.000 0.000 10.097
Mg Zn
15 1
Direct
0.000 0.000 0.000
0.003 0.501 0.500
0.330 0.165 0.257
0.330 0.165 0.743
0.333 0.667 0.248
0.333 0.667 0.752
0.499 0.501 0.500
0.499 0.997 0.500
0.501 0.002 0.000
0.501 0.499 0.000
0.835 0.165 0.257
0.835 0.165 0.743
0.835 0.670 0.257
0.835 0.670 0.743
0.998 0.499 0.000
0.000 0.000 0.500
```

[8]
A plane-wave DFT calculation with r²SCAN was carried out for a relaxed structure of Dy3Ga5O12.

Results
DFT formation energy: -2.84 eV per atom
total moment: 0.000 μB per formula unit
space group: Ia-3d (230)

POSCAR file:
```
Dy3Ga5O12
1.0
-6.142 6.142 6.142
6.142 -6.142 6.142
6.142 6.142 -6.142
Dy Ga O
12 20 48
Direct
0.125 0.250 0.375
0.125 0.375 0.750
0.250 0.375 0.125
0.250 0.875 0.625
0.375 0.125 0.250
0.375 0.750 0.125
0.625 0.250 0.875
0.625 0.875 0.750
0.750 0.125 0.375
0.750 0.625 0.875
0.875 0.625 0.250
0.875 0.750 0.625
0.000 0.000 0.000
0.000 0.000 0.500
0.000 0.500 0.000
0.000 0.500 0.500
0.125 0.750 0.875
0.125 0.875 0.250
0.250 0.125 0.875
0.250 0.625 0.375
0.375 0.250 0.625
0.375 0.625 0.750
0.500 0.000 0.000
0.500 0.000 0.500
0.500 0.500 0.000
0.500 0.500 0.500
0.625 0.375 0.250
0.625 0.750 0.375
0.750 0.375 0.625
0.750 0.875 0.125
0.875 0.125 0.750
0.875 0.250 0.125
0.028 0.206 0.122
0.028 0.323 0.906
0.083 0.706 0.677
0.083 0.878 0.406
0.094 0.622 0.417
0.094 0.972 0.677
0.122 0.028 0.206
0.122 0.594 0.917
0.177 0.206 0.583
0.177 0.472 0.594
0.206 0.122 0.028
0.206 0.583 0.177
0.294 0.323 0.917
0.294 0.472 0.378
0.323 0.906 0.028
0.323 0.917 0.294
0.378 0.294 0.472
0.378 0.583 0.906
0.406 0.083 0.878
0.406 0.823 0.528
0.417 0.094 0.622
0.417 0.823 0.794
0.472 0.378 0.294
0.472 0.594 0.177
0.528 0.406 0.823
0.528 0.622 0.706
0.583 0.177 0.206
0.583 0.906 0.378
0.594 0.177 0.472
0.594 0.917 0.122
0.622 0.417 0.094
0.622 0.706 0.528
0.677 0.083 0.706
0.677 0.094 0.972
0.706 0.528 0.622
0.706 0.677 0.083
0.794 0.417 0.823
0.794 0.878 0.972
0.823 0.528 0.406
0.823 0.794 0.417
0.878 0.406 0.083
0.878 0.972 0.794
0.906 0.028 0.323
0.906 0.378 0.583
0.917 0.122 0.594
0.917 0.294 0.323
0.972 0.677 0.094
0.972 0.794 0.878
```

[9]
A plane-wave DFT calculation with r²SCAN was carried out for a relaxed structure of HoNi2P2.

Results
DFT formation energy: -1.08 eV per atom
total moment: 0.000 μB per formula unit
space group: I4/mmm (139)

POSCAR file:
```
HoNi2P2
1.0
3.846 0.000 0.000
0.000 3.846 0.000
0.000 0.000 9.288
Ho Ni P
2 4 4
Direct
0.000 0.000 0.000
0.500 0.500 0.500
0.000 0.500 0.250
0.000 0.500 0.750
0.500 0.000 0.250
0.500 0.000 0.750
0.000 0.000 0.377
0.000 0.000 0.623
0.500 0.500 0.123
0.500 0.500 0.877
```

[10]
A plane-wave DFT calculation with r²SCAN was carried out for a relaxed structure of Co2CuN2.

Results
DFT formation energy: 0.26 eV per atom
total moment: 0.814 μB per formula unit
space group: C2/m (12)

POSCAR file:
```
Co2CuN2
1.0
5.499 0.000 0.000
0.000 3.186 0.000
-1.861 0.000 5.958
Co Cu N
4 2 4
Direct
0.214 0.000 0.138
0.286 0.500 0.862
0.714 0.500 0.138
0.786 0.000 0.862
0.000 0.000 0.500
0.500 0.500 0.500
0.103 0.000 0.811
0.397 0.500 0.189
0.603 0.500 0.811
0.897 0.000 0.189
```

[11]
A plane-wave DFT calculation with r²SCAN was carried out for a relaxed structure of CdGeN2.

Results
DFT formation energy: -0.11 eV per atom
total moment: 0.000 μB per formula unit
space group: I-42d (122)

POSCAR file:
```
CdGeN2
1.0
4.922 0.000 0.000
0.000 4.922 0.000
0.000 0.000 8.682
Cd Ge N
4 4 8
Direct
0.000 0.000 0.000
0.000 0.500 0.250
0.500 0.000 0.750
0.500 0.500 0.500
0.000 0.000 0.500
0.000 0.500 0.750
0.500 0.000 0.250
0.500 0.500 0.000
0.181 0.750 0.625
0.250 0.181 0.375
0.250 0.319 0.875
0.319 0.750 0.125
0.681 0.250 0.125
0.750 0.681 0.875
0.750 0.819 0.375
0.819 0.250 0.625
```

[12]
A plane-wave DFT calculation with r²SCAN was carried out for a relaxed structure of KMn6O12.

Results
DFT formation energy: -2.12 eV per atom
total moment: 18.996 μB per formula unit
space group: I4/m (87)

POSCAR file:
```
KMn6O12
1.0
-4.909 4.909 4.310
4.909 -4.909 4.310
4.909 4.909 -4.310
K Mn O
2 12 24
Direct
0.208 0.208 0.000
0.792 0.792 0.000
0.015 0.833 0.515
0.167 0.651 0.818
0.167 0.682 0.182
0.318 0.500 0.485
0.349 0.167 0.515
0.500 0.015 0.182
0.500 0.985 0.818
0.651 0.833 0.485
0.682 0.500 0.515
0.833 0.318 0.818
0.833 0.349 0.182
0.985 0.167 0.485
0.125 0.501 0.292
0.130 0.489 0.951
0.154 0.202 0.356
0.163 0.458 0.621
0.167 0.875 0.376
0.178 0.130 0.641
0.202 0.846 0.048
0.209 0.833 0.708
0.458 0.837 0.295
0.463 0.822 0.951
0.489 0.537 0.359
0.499 0.791 0.624
0.501 0.209 0.376
0.511 0.463 0.641
0.537 0.178 0.049
0.542 0.163 0.705
0.791 0.167 0.292
0.798 0.154 0.952
0.822 0.870 0.359
0.833 0.125 0.624
0.837 0.542 0.379
0.846 0.798 0.644
0.870 0.511 0.049
0.875 0.499 0.708
```